No. 1
The following is a DFT calculation (PBE with a Hubbard U) of an optimized crystal structure of Li9Mn2Co5O16.

Properties
The value obtained for the formation energy from the elements is -1788 meV per atom. The value obtained for the distance to the lowest polymorph of the same formula is 76 meV per atom. The volume is 292.8 Å³ per cell. The energy with MP2020 corrections is -207.44 eV for the cell shown. The size of the total moment is 24.000 μB per formula unit. The space-group type is C2/m.

Unit cell a=5.119 b=5.119 c=20.790 alpha=81.81 beta=81.81 gamma=32.92
Fractional positions:
Li 0.256 0.256 0.936
Li 0.744 0.744 0.064
Li 0.252 0.252 0.194
Li 0.740 0.740 0.321
Li 0.239 0.239 0.444
Li 0.761 0.761 0.556
Li 0.260 0.260 0.679
Li 0.748 0.748 0.806
Li 0.500 0.500 0.500
Mn 0.001 0.001 0.874
Mn 0.999 0.999 0.126
Co 0.500 0.500 0.000
Co 0.500 0.500 0.256
Co 0.984 0.984 0.388
Co 0.016 0.016 0.612
Co 0.500 0.500 0.744
O 0.391 0.391 0.846
O 0.888 0.888 0.960
O 0.385 0.385 0.100
O 0.890 0.890 0.214
O 0.384 0.384 0.342
O 0.874 0.874 0.464
O 0.393 0.393 0.597
O 0.885 0.885 0.722
O 0.112 0.112 0.040
O 0.609 0.609 0.154
O 0.115 0.115 0.278
O 0.607 0.607 0.403
O 0.126 0.126 0.536
O 0.616 0.616 0.658
O 0.110 0.110 0.786
O 0.615 0.615 0.900

---

No. 2
The following is a DFT calculation (PBE with a Hubbard U) of an optimized crystal structure of Li3V2P3O12.

Properties
The value obtained for the formation energy from the elements is -2692 meV per atom. The value obtained for the distance to the lowest polymorph of the same formula is 36 meV per atom. The volume is 473.6 Å³ per cell. The energy with MP2020 corrections is -306.71 eV for the cell shown. The size of the total moment is 4.001 μB per formula unit. The space-group type is R-3.

Unit cell a=9.038 b=9.038 c=9.038 alpha=55.99 beta=55.99 gamma=55.99
Fractional positions:
Li 0.080 0.733 0.334
Li 0.334 0.080 0.733
Li 0.733 0.334 0.080
Li 0.267 0.666 0.920
Li 0.666 0.920 0.267
Li 0.920 0.267 0.666
V 0.350 0.350 0.350
V 0.855 0.855 0.855
V 0.145 0.145 0.145
V 0.650 0.650 0.650
P 0.752 0.039 0.458
P 0.039 0.458 0.752
P 0.458 0.752 0.039
P 0.542 0.248 0.961
P 0.961 0.542 0.248
P 0.248 0.961 0.542
O 0.790 0.846 0.456
O 0.537 0.166 0.494
O 0.166 0.494 0.537
O 0.846 0.456 0.790
O 0.456 0.790 0.846
O 0.812 0.996 0.609
O 0.138 0.255 0.875
O 0.996 0.609 0.812
O 0.494 0.537 0.166
O 0.255 0.875 0.138
O 0.609 0.812 0.996
O 0.875 0.138 0.255
O 0.125 0.862 0.745
O 0.391 0.188 0.004
O 0.745 0.125 0.862
O 0.506 0.463 0.834
O 0.004 0.391 0.188
O 0.862 0.745 0.125
O 0.188 0.004 0.391
O 0.544 0.210 0.154
O 0.154 0.544 0.210
O 0.834 0.506 0.463
O 0.463 0.834 0.506
O 0.210 0.154 0.544